(1)
Below is a relaxed structure of Gd2InSbO7, with properties calculated at the r²SCAN level.

The space group is Imma (No. 74) and the conventional cell measures 7.349, 7.520 and 10.500 Å, with angles of 90.00, 90.00 and 90.00 degrees. The inequivalent atoms are Gd at (0.000, 0.000, 0.000), Gd at (0.250, 0.250, 0.250), In at (0.250, 0.250, 0.750), Sb at (0.000, 0.000, 0.500), O at (0.000, 0.250, 0.129), O at (0.000, 0.250, 0.435), O at (0.000, 0.250, 0.854) and O at (0.199, 0.025, 0.625).

Its energy of formation is -2749 meV/atom.

(2)
Below is a relaxed structure of GdInPd, with properties calculated at the r²SCAN level.

The space group is P-62m (No. 189) and the conventional cell measures 7.7052, 7.7052 and 3.8954 Å, with angles of 90.00, 90.00 and 120.00 degrees. The inequivalent atoms are Gd at (0.0000, 0.5909, 0.0000), In at (0.0000, 0.2566, 0.5000), Pd at (0.0000, 0.0000, 0.0000) and Pd at (0.3333, 0.6667, 0.5000).

Its energy of formation is -861 meV/atom.

(3)
Below is a relaxed structure of GdIn5Rh, with properties calculated at the r²SCAN level.

The space group is P4/mmm (No. 123) and the conventional cell measures 4.646, 4.646 and 7.472 Å, with angles of 90.00, 90.00 and 90.00 degrees. The inequivalent atoms are Gd at (0.000, 0.000, 0.000), In at (0.000, 0.500, 0.302), In at (0.500, 0.500, 0.000) and Rh at (0.000, 0.000, 0.500).

Its energy of formation is -533 meV/atom.

(4)
Below is a relaxed structure of GdIn2Rh, with properties calculated at the r²SCAN level.

The space group is Cmcm (No. 63) and the conventional cell measures 4.434, 10.173 and 7.777 Å, with angles of 90.00, 90.00 and 90.00 degrees. The inequivalent atoms are Gd at (0.000, 0.067, 0.250), In at (0.000, 0.355, 0.051) and Rh at (0.000, 0.212, 0.750).

Its energy of formation is -703 meV/atom.

(5)
Below is a relaxed structure of Gd3InS6, with properties calculated at the r²SCAN level.

The space group is Pnnm (No. 58) and the conventional cell measures 13.602, 16.562 and 3.886 Å, with angles of 90.00, 90.00 and 90.00 degrees. The inequivalent atoms are Gd at (0.040, 0.224, 0.000), Gd at (0.189, 0.646, 0.000), Gd at (0.248, 0.893, 0.500), In at (0.000, 0.000, 0.500), In at (0.000, 0.500, 0.500), S at (0.021, 0.396, 0.000), S at (0.095, 0.915, 0.000), S at (0.111, 0.746, 0.500), S at (0.112, 0.116, 0.500), S at (0.182, 0.287, 0.500) and S at (0.191, 0.521, 0.500).

Its energy of formation is -1946 meV/atom.

(6)
Below is a relaxed structure of Gd2ZnIn, with properties calculated at the r²SCAN level.

The space group is Fm-3m (No. 225) and the conventional cell measures 7.403, 7.403 and 7.403 Å, with angles of 90.00, 90.00 and 90.00 degrees. The inequivalent atoms are Gd at (0.250, 0.250, 0.250), Zn at (0.000, 0.000, 0.000) and In at (0.000, 0.000, 0.500).

Its energy of formation is -466 meV/atom.

(7)
Below is a relaxed structure of GdZnIn, with properties calculated at the r²SCAN level.

The space group is P6_3/mmc (No. 194) and the conventional cell measures 4.6930, 4.6930 and 7.2086 Å, with angles of 90.00, 90.00 and 120.00 degrees. The inequivalent atoms are Gd at (0.0000, 0.0000, 0.0000), Zn at (0.3333, 0.6667, 0.2500) and In at (0.3333, 0.6667, 0.7500).

Its energy of formation is -523 meV/atom.

(8)
Below is a relaxed structure of GdLuIr2, with properties calculated at the r²SCAN level.

The space group is Fm-3m (No. 225) and the conventional cell measures 6.788, 6.788 and 6.788 Å, with angles of 90.00, 90.00 and 90.00 degrees. The inequivalent atoms are Gd at (0.000, 0.000, 0.000), Lu at (0.000, 0.000, 0.500) and Ir at (0.250, 0.250, 0.250).

Its energy of formation is -928 meV/atom.

(9)
Below is a relaxed structure of Gd2NiIr, with properties calculated at the r²SCAN level.

The space group is Fm-3m (No. 225) and the conventional cell measures 6.848, 6.848 and 6.848 Å, with angles of 90.00, 90.00 and 90.00 degrees. The inequivalent atoms are Gd at (0.250, 0.250, 0.250), Ni at (0.000, 0.000, 0.000) and Ir at (0.000, 0.000, 0.500).

Its energy of formation is -559 meV/atom.

(10)
Below is a relaxed structure of Gd2IrPd, with properties calculated at the r²SCAN level.

The space group is Fm-3m (No. 225) and the conventional cell measures 6.965, 6.965 and 6.965 Å, with angles of 90.00, 90.00 and 90.00 degrees. The inequivalent atoms are Gd at (0.250, 0.250, 0.250), Ir at (0.000, 0.000, 0.000) and Pd at (0.000, 0.000, 0.500).

Its energy of formation is -850 meV/atom.

(11)
Below is a relaxed structure of Gd2IrRh, with properties calculated at the r²SCAN level.

The space group is Fm-3m (No. 225) and the conventional cell measures 6.900, 6.900 and 6.900 Å, with angles of 90.00, 90.00 and 90.00 degrees. The inequivalent atoms are Gd at (0.250, 0.250, 0.250), Ir at (0.000, 0.000, 0.000) and Rh at (0.000, 0.000, 0.500).

Its energy of formation is -813 meV/atom.

(12)
Below is a relaxed structure of Gd2IrRu, with properties calculated at the r²SCAN level.

The space group is Fm-3m (No. 225) and the conventional cell measures 6.866, 6.866 and 6.866 Å, with angles of 90.00, 90.00 and 90.00 degrees. The inequivalent atoms are Gd at (0.250, 0.250, 0.250), Ir at (0.000, 0.000, 0.000) and Ru at (0.000, 0.000, 0.500).

Its energy of formation is -535 meV/atom.